Arrangement 1

# LiCrBO3

LiCrBO3 after structural relaxation (PBE with a Hubbard U, Materials Project).

The structure in CIF format:
```
data_LiCrBO3
_chemical_formula_sum 'Li9 Cr9 B9 O27'
_cell_length_a 3.1757
_cell_length_b 14.2561
_cell_length_c 14.2634
_cell_angle_alpha 60.04
_cell_angle_beta 89.11
_cell_angle_gamma 89.12
_symmetry_space_group_name_H-M 'P 1'
_symmetry_Int_Tables_number 1
loop_
_symmetry_equiv_pos_as_xyz
'x,y,z'
loop_
_atom_site_label
_atom_site_type_symbol
_atom_site_fract_x
_atom_site_fract_y
_atom_site_fract_z
_atom_site_occupancy
Li1 Li 0.0000 0.0000 0.0000 1
Li2 Li 0.0026 0.9688 0.6762 1
Li3 Li 0.0140 0.9771 0.3842 1
Li4 Li 0.0457 0.6975 0.6471 1
Li5 Li 0.9384 0.6165 0.3314 1
Li6 Li 0.9606 0.3531 0.3152 1
Li7 Li 0.9728 0.6451 0.0316 1
Li8 Li 0.9821 0.2835 0.0089 1
Li9 Li 0.9945 0.2997 0.7298 1
Cr1 Cr 0.4399 0.4206 0.4740 1
Cr2 Cr 0.4649 0.7831 0.1224 1
Cr3 Cr 0.4706 0.4181 0.0920 1
Cr4 Cr 0.4804 0.4423 0.7831 1
Cr5 Cr 0.4816 0.1353 0.4495 1
Cr6 Cr 0.5063 0.0603 0.1667 1
Cr7 Cr 0.5105 0.0910 0.7713 1
Cr8 Cr 0.5139 0.7397 0.8142 1
Cr9 Cr 0.5465 0.7513 0.4508 1
B1 B 0.0042 0.8622 0.2454 1
B2 B 0.4567 0.5403 0.2186 1
B3 B 0.4934 0.1867 0.9185 1
B4 B 0.5198 0.8865 0.5714 1
B5 B 0.9775 0.2146 0.5690 1
B6 B 0.9855 0.2045 0.2362 1
B7 B 0.9893 0.5373 0.8936 1
B8 B 0.9891 0.5381 0.5692 1
B9 B 0.9966 0.8712 0.9027 1
O1 O 0.0046 0.7857 0.8819 1
O2 O 0.0122 0.1979 0.6735 1
O3 O 0.0155 0.9772 0.8175 1
O4 O 0.0169 0.9663 0.1566 1
O5 O 0.0262 0.6416 0.8055 1
O6 O 0.0446 0.8470 0.3497 1
O7 O 0.0536 0.6455 0.5377 1
O8 O 0.4433 0.5585 0.3055 1
O9 O 0.4596 0.4342 0.2383 1
O10 O 0.4672 0.6288 0.1143 1
O11 O 0.4891 0.2064 0.0048 1
O12 O 0.4902 0.2737 0.8135 1
O13 O 0.5009 0.0825 0.9340 1
O14 O 0.5073 0.9023 0.6600 1
O15 O 0.5070 0.9729 0.4655 1
O16 O 0.5454 0.7816 0.5892 1
O17 O 0.9253 0.5081 0.4923 1
O18 O 0.9474 0.3193 0.4798 1
O19 O 0.9513 0.7745 0.2293 1
O20 O 0.9684 0.5221 0.9977 1
O21 O 0.9692 0.8506 0.0086 1
O22 O 0.9730 0.1259 0.5534 1
O23 O 0.9730 0.4475 0.8788 1
O24 O 0.9742 0.3046 0.1422 1
O25 O 0.9864 0.1985 0.3362 1
O26 O 0.9884 0.4607 0.6779 1
O27 O 0.9962 0.1104 0.2301 1
```

Properties
Its space-group type is P1 (1). Its crystal system is triclinic. The total magnetic moment is 4.00 μB per formula unit.


Arrangement 2

# LiCrBO3

LiCrBO3 after structural relaxation (PBE with a Hubbard U, Materials Project).

The structure in CIF format:
```
data_LiCrBO3
_chemical_formula_sum 'Li6 Cr6 B6 O18'
_cell_length_a 6.2931
_cell_length_b 8.2505
_cell_length_c 8.2508
_cell_angle_alpha 60.00
_cell_angle_beta 90.00
_cell_angle_gamma 90.00
_symmetry_space_group_name_H-M 'P 1'
_symmetry_Int_Tables_number 1
loop_
_symmetry_equiv_pos_as_xyz
'x,y,z'
loop_
_atom_site_label
_atom_site_type_symbol
_atom_site_fract_x
_atom_site_fract_y
_atom_site_fract_z
_atom_site_occupancy
O1 O 0.7500 0.7444 0.7827 1
Li1 Li 0.7500 0.7115 0.2697 1
Cr1 Cr 0.0000 0.3928 0.6245 1
Cr2 Cr 0.0000 0.9825 0.3930 1
Li2 Li 0.2500 0.0187 0.7115 1
O2 O 0.5000 0.1136 0.0810 1
B1 B 0.0000 0.0001 0.0000 1
B2 B 0.5000 0.0001 0.0000 1
O3 O 0.2500 0.4728 0.7443 1
O4 O 0.7500 0.7828 0.4727 1
B3 B 0.2500 0.6666 0.6666 1
B4 B 0.7500 0.3334 0.3333 1
O5 O 0.5000 0.8055 0.1136 1
Cr3 Cr 0.0000 0.6245 0.9827 1
B5 B 0.7500 0.6666 0.6666 1
O6 O 0.2500 0.1396 0.4192 1
B6 B 0.2500 0.3334 0.3333 1
Cr4 Cr 0.5000 0.3929 0.6245 1
Li3 Li 0.2500 0.7115 0.2697 1
Li4 Li 0.7500 0.0187 0.7115 1
O7 O 0.5000 0.0810 0.8055 1
O8 O 0.0000 0.1136 0.0810 1
O9 O 0.7500 0.4191 0.4412 1
O10 O 0.7500 0.1396 0.4192 1
O11 O 0.7500 0.4728 0.7443 1
O12 O 0.2500 0.7828 0.4727 1
Cr5 Cr 0.5000 0.6245 0.9827 1
O13 O 0.2500 0.7444 0.7827 1
O14 O 0.0000 0.8055 0.1136 1
O15 O 0.7500 0.4412 0.1397 1
O16 O 0.2500 0.4412 0.1397 1
Cr6 Cr 0.5000 0.9824 0.3930 1
Li5 Li 0.7500 0.2698 0.0188 1
O17 O 0.0000 0.0810 0.8056 1
O18 O 0.2500 0.4191 0.4412 1
Li6 Li 0.2500 0.2698 0.0188 1
```

Properties
The total magnetic moment is 0.00 μB per formula unit.


arrangement 2 is preferred energetically. Next in line: 8 meV per atom higher.


Arrangement 1

# Mg6CrBO8

Mg6CrBO8 after structural relaxation (PBE with a Hubbard U, Materials Project).

The structure in CIF format:
```
data_Mg6CrBO8
_chemical_formula_sum 'Mg6 Cr1 B1 O8'
_cell_length_a 4.3708
_cell_length_b 4.3708
_cell_length_c 8.2742
_cell_angle_alpha 90.00
_cell_angle_beta 90.00
_cell_angle_gamma 90.00
_symmetry_space_group_name_H-M 'P 1'
_symmetry_Int_Tables_number 1
loop_
_symmetry_equiv_pos_as_xyz
'x,y,z'
loop_
_atom_site_label
_atom_site_type_symbol
_atom_site_fract_x
_atom_site_fract_y
_atom_site_fract_z
_atom_site_occupancy
Mg1 Mg 0.0000 0.0000 0.0000 1
Mg2 Mg 0.0000 0.0000 0.5000 1
Mg3 Mg 0.0000 0.5000 0.2401 1
Mg4 Mg 0.0000 0.5000 0.7599 1
Mg5 Mg 0.5000 0.0000 0.2401 1
Mg6 Mg 0.5000 0.0000 0.7599 1
Cr1 Cr 0.5000 0.5000 0.5000 1
B1 B 0.5000 0.5000 0.0000 1
O1 O 0.0000 0.0000 0.2499 1
O2 O 0.0000 0.0000 0.7501 1
O3 O 0.0000 0.5000 0.0000 1
O4 O 0.0000 0.5000 0.5000 1
O5 O 0.5000 0.0000 0.0000 1
O6 O 0.5000 0.0000 0.5000 1
O7 O 0.5000 0.5000 0.1704 1
O8 O 0.5000 0.5000 0.8296 1
```

Properties
Its space-group type is P4/mmm (123). Its crystal system is tetragonal. The total magnetic moment is 4.78 μB per formula unit.


Arrangement 2

# Mg6CrBO8

Mg6CrBO8 after structural relaxation (PBE with a Hubbard U, Materials Project).

The structure in CIF format:
```
data_Mg6CrBO8
_chemical_formula_sum 'Mg6 Cr1 B1 O8'
_cell_length_a 4.2521
_cell_length_b 4.2521
_cell_length_c 8.5378
_cell_angle_alpha 90.00
_cell_angle_beta 90.00
_cell_angle_gamma 90.00
_symmetry_space_group_name_H-M 'P 1'
_symmetry_Int_Tables_number 1
loop_
_symmetry_equiv_pos_as_xyz
'x,y,z'
loop_
_atom_site_label
_atom_site_type_symbol
_atom_site_fract_x
_atom_site_fract_y
_atom_site_fract_z
_atom_site_occupancy
Mg1 Mg 0.0000 0.0000 0.0000 1
Mg2 Mg 0.0000 0.5000 0.2534 1
Mg3 Mg 0.0000 0.5000 0.7466 1
Mg4 Mg 0.5000 0.0000 0.2534 1
Mg5 Mg 0.5000 0.0000 0.7466 1
Mg6 Mg 0.5000 0.5000 0.0000 1
Cr1 Cr 0.0000 0.0000 0.5000 1
B1 B 0.5000 0.5000 0.5000 1
O1 O 0.0000 0.0000 0.2548 1
O2 O 0.0000 0.0000 0.7452 1
O3 O 0.0000 0.5000 0.0000 1
O4 O 0.0000 0.5000 0.5000 1
O5 O 0.5000 0.0000 0.0000 1
O6 O 0.5000 0.0000 0.5000 1
O7 O 0.5000 0.5000 0.2445 1
O8 O 0.5000 0.5000 0.7555 1
```

Properties
Its space-group type is P4/mmm (123). Its crystal system is tetragonal. The total magnetic moment is 3.22 μB per formula unit.


arrangement 1 is preferred energetically. Next in line: 83 meV per atom higher.